Entry from the Materials Project: a relaxed structure of Tb2ZnAg (PBE-GGA).

Results
E, eV/atom: -3.68

Cell lengths 3.625, 3.625, 7.245 Å; angles 90.00, 90.00, 90.00 degrees
Space group P4/mmm (No. 123)
Unique sites:
Tb 0.000 0.000 0.241 (multiplicity 2)
Zn 0.500 0.500 0.000 (multiplicity 1)
Ag 0.500 0.500 0.500 (multiplicity 1)